Density functional theory data (PBE+U) for crystalline YNiF5 at its relaxed geometry.

Computed properties:
The calculated formation energy is -319.7 kJ/mol of atoms. Its total energy is -5.7371 eV per atom.

The structure in CIF format:
```
data_YNiF5
_space_group_name_H-M_alt 'I m m m'
_space_group_IT_number 71
_space_group_name_Hall '-I 2 2'
_cell_length_a 4.173
_cell_length_b 6.909
_cell_length_c 8.141
_cell_angle_alpha 90.00
_cell_angle_beta 90.00
_cell_angle_gamma 90.00
loop_
_atom_site_label
_atom_site_type_symbol
_atom_site_fract_x
_atom_site_fract_y
_atom_site_fract_z
Y1 Y 0.000 0.000 0.000
Ni1 Ni 0.000 0.000 0.500
F1 F 0.000 0.000 0.270
F2 F 0.000 0.317 0.000
F3 F 0.000 0.500 0.500
```